# MgMnRe2O8 (PBE with a Hubbard U, relaxed)
# Calculated formation energy, meV per atom: -2071
# Total energy, eV/atom: -7.743
data_MgMnRe2O8
_space_group_name_H-M_alt 'P -3 m 1'
_space_group_IT_number 164
_space_group_name_Hall '-P 3 2"'
_cell_length_a 5.8559
_cell_length_b 5.8559
_cell_length_c 5.9114
_cell_angle_alpha 90.00
_cell_angle_beta 90.00
_cell_angle_gamma 120.00
loop_
_atom_site_label
_atom_site_type_symbol
_atom_site_fract_x
_atom_site_fract_y
_atom_site_fract_z
Mg1 Mg 0.0000 0.0000 0.0000
Mn1 Mn 0.0000 0.0000 0.5000
Re1 Re 0.3333 0.6667 0.8217
O1 O 0.1575 0.3150 0.7529
O2 O 0.3333 0.6667 0.1183

# MgMn8S8O24 (PBE with a Hubbard U, relaxed)
# Calculated formation energy, meV per atom: -1752
# Total energy, eV/atom: -6.555
# Excess energy over the best structure of this formula in the dataset, meV per atom: 25
data_MgMn8S8O24
_space_group_name_H-M_alt 'P 1'
_space_group_IT_number 1
_cell_length_a 5.477
_cell_length_b 8.529
_cell_length_c 12.980
_cell_angle_alpha 91.05
_cell_angle_beta 90.27
_cell_angle_gamma 101.44
loop_
_space_group_symop_operation_xyz
'x,y,z'
loop_
_atom_site_label
_atom_site_type_symbol
_atom_site_fract_x
_atom_site_fract_y
_atom_site_fract_z
Mg1 Mg 0.000 0.000 0.000
Mn1 Mn 0.272 0.381 0.917
Mn2 Mn 0.289 0.872 0.575
Mn3 Mn 0.513 0.316 0.253
Mn4 Mn 0.515 0.805 0.260
Mn5 Mn 0.730 0.668 0.753
Mn6 Mn 0.742 0.173 0.746
Mn7 Mn 0.945 0.596 0.088
Mn8 Mn 0.955 0.109 0.432
S1 S 0.105 0.973 0.205
S2 S 0.106 0.477 0.322
S3 S 0.132 0.500 0.687
S4 S 0.167 0.014 0.799
S5 S 0.527 0.744 0.994
S6 S 0.543 0.254 0.513
S7 S 0.685 0.238 0.016
S8 S 0.705 0.731 0.493
O1 O 0.084 0.668 0.663
O2 O 0.127 0.191 0.797
O3 O 0.143 0.799 0.189
O4 O 0.149 0.304 0.335
O5 O 0.280 0.617 0.996
O6 O 0.308 0.118 0.509
O7 O 0.339 0.528 0.772
O8 O 0.355 0.546 0.266
O9 O 0.359 0.047 0.255
O10 O 0.378 0.014 0.716
O11 O 0.514 0.807 0.431
O12 O 0.517 0.331 0.081
O13 O 0.575 0.240 0.905
O14 O 0.586 0.731 0.602
O15 O 0.646 0.735 0.105
O16 O 0.658 0.253 0.403
O17 O 0.696 0.658 0.926
O18 O 0.737 0.179 0.574
O19 O 0.885 0.436 0.748
O20 O 0.898 0.959 0.289
O21 O 0.900 0.463 0.236
O22 O 0.919 0.931 0.747
O23 O 0.936 0.363 0.013
O24 O 0.940 0.866 0.497

# MgMn8S8O24 (PBE with a Hubbard U, relaxed)
# Calculated formation energy, meV per atom: -1776
# Total energy, eV/atom: -6.579
# Excess energy over the best structure of this formula in the dataset, meV per atom: 0
data_MgMn8S8O24
_space_group_name_H-M_alt 'P 1'
_space_group_IT_number 1
_cell_length_a 5.403
_cell_length_b 8.988
_cell_length_c 13.029
_cell_angle_alpha 87.09
_cell_angle_beta 86.12
_cell_angle_gamma 80.05
loop_
_space_group_symop_operation_xyz
'x,y,z'
loop_
_atom_site_label
_atom_site_type_symbol
_atom_site_fract_x
_atom_site_fract_y
_atom_site_fract_z
Mg1 Mg 0.000 0.000 0.000
Mn1 Mn 0.209 0.866 0.760
Mn2 Mn 0.260 0.379 0.457
Mn3 Mn 0.475 0.471 0.137
Mn4 Mn 0.550 0.048 0.126
Mn5 Mn 0.697 0.093 0.616
Mn6 Mn 0.703 0.585 0.618
Mn7 Mn 0.923 0.662 0.956
Mn8 Mn 0.981 0.173 0.287
S1 S 0.071 0.315 0.073
S2 S 0.094 0.252 0.690
S3 S 0.125 0.752 0.542
S4 S 0.161 0.792 0.180
S5 S 0.497 0.528 0.861
S6 S 0.537 0.028 0.389
S7 S 0.584 0.019 0.861
S8 S 0.694 0.514 0.366
O1 O 0.036 0.085 0.696
O2 O 0.043 0.793 0.073
O3 O 0.064 0.589 0.535
O4 O 0.125 0.477 0.049
O5 O 0.203 0.960 0.183
O6 O 0.254 0.654 0.855
O7 O 0.280 0.260 0.152
O8 O 0.287 0.144 0.387
O9 O 0.316 0.250 0.606
O10 O 0.331 0.737 0.624
O11 O 0.351 0.962 0.915
O12 O 0.427 0.703 0.164
O13 O 0.500 0.441 0.311
O14 O 0.538 0.983 0.747
O15 O 0.577 0.506 0.478
O16 O 0.610 0.547 0.966
O17 O 0.676 0.050 0.280
O18 O 0.687 0.588 0.784
O19 O 0.703 0.103 0.455
O20 O 0.832 0.895 0.881
O21 O 0.834 0.333 0.148
O22 O 0.859 0.330 0.634
O23 O 0.887 0.828 0.603
O24 O 0.935 0.389 0.365

# Sr4MgMn2S2O6 (PBE with a Hubbard U, relaxed)
# Calculated formation energy, meV per atom: -2306
# Total energy, eV/atom: -6.051
# Excess energy over the best structure of this formula in the dataset, meV per atom: 180
data_Sr4MgMn2S2O6
_space_group_name_H-M_alt 'P -4 m 2'
_space_group_IT_number 115
_cell_length_a 3.972
_cell_length_b 3.972
_cell_length_c 15.477
_cell_angle_alpha 90.00
_cell_angle_beta 90.00
_cell_angle_gamma 90.00
loop_
_space_group_symop_operation_xyz
'x,y,z'
'y,-x,-z'
'-x,-y,z'
'-y,x,-z'
'-x,y,z'
'-y,-x,-z'
'x,-y,z'
'y,x,-z'
loop_
_atom_site_label
_atom_site_type_symbol
_atom_site_fract_x
_atom_site_fract_y
_atom_site_fract_z
Sr1 Sr 0.000 0.500 0.122
Sr2 Sr 0.000 0.500 0.360
Mg1 Mg 0.500 0.500 0.500
Mn1 Mn 0.000 0.500 0.755
S1 S 0.000 0.500 0.918
O1 O 0.000 0.000 0.257
O2 O 0.000 0.500 0.556
O3 O 0.500 0.500 0.261